1.
V3O4F2 after structural relaxation, computed with r²SCAN.

Computed properties:
- crystal system = monoclinic
- DFT formation energy (meV/atom) = -2837.4
- E_tot (eV per atom) = -10.883

Structure (POSCAR):
```
V3O4F2
1.0
-4.610 0.000 0.000
0.000 4.572 -5.898
0.000 -4.630 -2.994
O F V
8 4 6
Cartesian
-3.188 1.376 -3.001
-0.938 0.885 -7.354
-3.727 -0.939 -4.497
-1.422 -1.414 -2.928
-0.883 0.901 -1.431
-1.366 3.200 -5.858
-3.243 1.333 -5.967
-3.671 -0.982 -7.463
-1.361 -1.443 -6.023
-3.667 -0.910 -1.403
-3.249 -3.224 -2.899
-0.944 0.871 -4.526
-2.482 2.238 -4.532
-2.127 2.295 -7.293
-2.305 -2.334 -4.461
0.000 -0.019 -2.964
-4.432 -0.077 -6.029
-0.177 -0.020 -8.790
```

***

2.
V2O3F3 after structural relaxation, computed with r²SCAN.

Computed properties:
- crystal system = triclinic
- DFT formation energy (meV/atom) = -2768.4
- E_tot (eV per atom) = -9.703

Structure (POSCAR):
```
V2O3F3
1.0
3.306 0.400 -3.867
5.845 -10.846 4.046
-4.289 -2.632 -0.627
F V O
9 6 9
Cartesian
2.839 -7.127 1.127
3.343 -2.460 -1.246
2.703 -9.171 2.774
7.488 -9.856 0.736
1.689 -8.545 -0.774
3.283 -4.569 0.331
-0.766 -1.775 -0.153
2.189 -3.810 -3.247
5.578 -11.269 -0.286
5.474 -9.656 0.771
-4.163 -2.663 -0.687
6.099 -5.009 -1.862
2.672 -4.398 -1.503
1.963 -8.964 1.088
-0.619 -3.373 -1.183
5.348 -10.411 2.265
1.579 -10.579 0.840
0.515 -8.315 1.556
0.998 -3.662 -0.865
-2.690 -3.227 -1.143
4.444 -4.752 -2.015
3.900 -9.332 0.405
-0.583 -2.622 -2.666
2.134 -5.962 -1.661
```